1.
DFT (PBE with a Hubbard U) results for a geometry-optimized SrLiLa3MnO8 structure.

a b c (Å): 6.8832 6.8832 5.4433
angles (deg): 90.00 90.00 133.56
Element x y z (fractional)
La (0.8601, 0.1399, 0.5000)
O (0.8416, 0.1584, 0.0000)
Li (0.5050, 0.4950, 0.5000)
O (0.7518, 0.7585, 0.7559)
Sr (0.6411, 0.3589, 0.0000)
La (0.1370, 0.8630, 0.5000)
O (0.1636, 0.8364, 0.0000)
O (0.2415, 0.2482, 0.7559)
O (0.2415, 0.2482, 0.2441)
Mn (0.0001, 0.9999, 0.0000)
O (0.6814, 0.3186, 0.5000)
La (0.3666, 0.6334, 0.0000)
O (0.7518, 0.7585, 0.2441)
O (0.3170, 0.6830, 0.5000)

Offset from the most stable computed form = 6 meV/atom
MP2020-corrected energy = -112.0 eV/cell
Formation energy = -3.203 eV/atom

***

2.
DFT (PBE with a Hubbard U) results for a geometry-optimized SrLiLa3MnO8 structure.

a b c (Å): 5.4362 6.8979 21.7688
angles (deg): 90.00 90.00 66.79
Element x y z (fractional)
O (0.3170, 0.3660, 0.3673)
La (0.3647, 0.2707, 0.7500)
O (0.7567, 0.9981, 0.9388)
O (0.1586, 0.6827, 0.5000)
Mn (0.0009, 0.9982, 0.2500)
O (0.7567, 0.9981, 0.0612)
O (0.2433, 0.0019, 0.3112)
Li (0.5000, 0.0000, 0.8750)
La (0.8624, 0.2753, 0.3760)
La (0.8624, 0.2753, 0.6240)
Mn (0.9991, 0.0017, 0.5000)
O (0.2452, 0.9981, 0.9388)
Mn (0.0009, 0.9983, 0.7500)
O (0.7567, 0.9981, 0.4388)
Sr (0.3601, 0.2798, 0.5000)
La (0.1377, 0.7247, 0.8740)
O (0.7548, 0.0019, 0.6888)
O (0.2452, 0.9981, 0.0612)
Li (0.5000, 0.0000, 0.3750)
O (0.3170, 0.3660, 0.8673)
La (0.1377, 0.7247, 0.1260)
O (0.8380, 0.3240, 0.0000)
O (0.6830, 0.6340, 0.8827)
O (0.1586, 0.6827, 0.0000)
La (0.8624, 0.2753, 0.1240)
O (0.7548, 0.0019, 0.3112)
Sr (0.6400, 0.7202, 0.7500)
O (0.2433, 0.0019, 0.8111)
La (0.6353, 0.7293, 0.5000)
O (0.8380, 0.3240, 0.5000)
Mn (0.9991, 0.0017, 0.0000)
La (0.3647, 0.2707, 0.2500)
O (0.2433, 0.0019, 0.6888)
Sr (0.6399, 0.7202, 0.2500)
O (0.7548, 0.0019, 0.8111)
Li (0.5000, 0.0000, 0.6250)
Li (0.5000, 0.0000, 0.1250)
O (0.7567, 0.9981, 0.5612)
O (0.7548, 0.0019, 0.1888)
La (0.8624, 0.2753, 0.8760)
La (0.1376, 0.7247, 0.6260)
O (0.2453, 0.9981, 0.4388)
O (0.3170, 0.3660, 0.6327)
O (0.8414, 0.3173, 0.2500)
La (0.1377, 0.7247, 0.3740)
O (0.2433, 0.0019, 0.1888)
O (0.6830, 0.6340, 0.3827)
O (0.6830, 0.6340, 0.1173)
O (0.6830, 0.6340, 0.6173)
Sr (0.3601, 0.2798, 0.0000)
O (0.1620, 0.6760, 0.2500)
O (0.1620, 0.6760, 0.7500)
O (0.2453, 0.9981, 0.5612)
La (0.6353, 0.7293, 0.0000)
O (0.8413, 0.3173, 0.7500)
O (0.3170, 0.3660, 0.1327)

Offset from the most stable computed form = 0 meV/atom
MP2020-corrected energy = -448.3 eV/cell
Formation energy = -3.209 eV/atom

***

3.
DFT (PBE with a Hubbard U) results for a geometry-optimized LiLaMo2O8 structure.

a b c (Å): 10.0324 10.2107 13.8223
angles (deg): 90.00 90.00 90.00
Element x y z (fractional)
La (0.8796, 0.4548, 0.6255)
O (0.8981, 0.2187, 0.5588)
O (0.7964, 0.0368, 0.7053)
Li (0.0800, 0.2300, 0.4762)
Mo (0.8662, 0.7373, 0.2040)
O (0.4843, 0.3828, 0.2585)
O (0.6115, 0.6017, 0.9554)
O (0.2047, 0.1889, 0.6892)
O (0.6115, 0.1017, 0.5446)
O (0.3885, 0.8983, 0.4554)
Li (0.5800, 0.7700, 0.0238)
O (0.3885, 0.3983, 0.0446)
Mo (0.7873, 0.5820, 0.9185)
Mo (0.2127, 0.4180, 0.0815)
Li (0.4200, 0.7300, 0.5238)
O (0.2953, 0.6889, 0.3108)
O (0.4592, 0.1454, 0.3645)
O (0.3351, 0.5555, 0.5094)
O (0.7047, 0.8111, 0.8108)
O (0.9843, 0.6172, 0.2415)
Mo (0.2873, 0.4180, 0.5815)
O (0.7554, 0.6683, 0.6219)
O (0.2446, 0.8317, 0.1219)
O (0.8885, 0.6017, 0.4554)
Mo (0.6338, 0.7373, 0.7040)
La (0.6204, 0.9548, 0.3745)
Mo (0.3662, 0.2627, 0.2960)
O (0.8885, 0.1017, 0.0446)
O (0.7047, 0.3111, 0.6892)
O (0.2446, 0.3317, 0.3781)
O (0.6649, 0.4445, 0.4906)
O (0.1649, 0.5555, 0.0094)
La (0.3796, 0.5452, 0.8745)
Li (0.4200, 0.2300, 0.9762)
Mo (0.8662, 0.2373, 0.2960)
O (0.1115, 0.8983, 0.9554)
O (0.2554, 0.8317, 0.6219)
O (0.7953, 0.8111, 0.3108)
O (0.5157, 0.6172, 0.7415)
O (0.2047, 0.6889, 0.8108)
O (0.2036, 0.9632, 0.2947)
O (0.3981, 0.7813, 0.9412)
O (0.7554, 0.1683, 0.8781)
O (0.8351, 0.9445, 0.5094)
O (0.5408, 0.8546, 0.6355)
O (0.5408, 0.3546, 0.8645)
La (0.1204, 0.5452, 0.3745)
La (0.8796, 0.9548, 0.8745)
O (0.0157, 0.3828, 0.7585)
Li (0.0800, 0.7300, 0.0238)
O (0.7036, 0.0368, 0.2053)
O (0.1019, 0.2813, 0.0588)
Li (0.5800, 0.2700, 0.4762)
O (0.7446, 0.1683, 0.3781)
O (0.9592, 0.3546, 0.3645)
O (0.2964, 0.9632, 0.7947)
O (0.6019, 0.7187, 0.4412)
O (0.5157, 0.1172, 0.7585)
Mo (0.7127, 0.0820, 0.0815)
O (0.8351, 0.4445, 0.9906)
O (0.2036, 0.4632, 0.2053)
O (0.4843, 0.8828, 0.2415)
La (0.3796, 0.0452, 0.6255)
Mo (0.1338, 0.7627, 0.7040)
Li (0.9200, 0.2700, 0.9762)
Mo (0.7873, 0.0820, 0.5815)
O (0.7036, 0.5367, 0.2947)
O (0.9843, 0.1172, 0.2585)
O (0.6019, 0.2187, 0.0588)
O (0.7953, 0.3111, 0.1892)
Mo (0.6338, 0.2373, 0.7960)
O (0.6649, 0.9445, 0.0094)
O (0.0157, 0.8828, 0.7415)
O (0.2964, 0.4632, 0.7053)
O (0.8981, 0.7187, 0.9412)
O (0.2554, 0.3317, 0.8781)
O (0.7446, 0.6683, 0.1219)
O (0.7964, 0.5367, 0.7947)
O (0.0408, 0.1454, 0.8645)
O (0.1115, 0.3983, 0.5446)
Mo (0.3662, 0.7627, 0.2040)
Mo (0.1338, 0.2627, 0.7960)
La (0.1204, 0.0452, 0.1255)
O (0.4592, 0.6454, 0.1355)
O (0.9592, 0.8546, 0.1355)
O (0.3981, 0.2813, 0.5588)
Mo (0.2873, 0.9180, 0.9185)
O (0.0408, 0.6454, 0.6355)
O (0.2953, 0.1889, 0.1892)
O (0.1649, 0.0555, 0.4906)
Li (0.9200, 0.7700, 0.5238)
Mo (0.7127, 0.5820, 0.4185)
La (0.6204, 0.4548, 0.1255)
O (0.1019, 0.7813, 0.4412)
O (0.3351, 0.0555, 0.9906)
Mo (0.2127, 0.9180, 0.4185)

MP2020-corrected energy = -788.3 eV/cell
Formation energy = -2.535 eV/atom